A plane-wave DFT calculation with PBE-GGA was carried out for an optimized crystal structure of ZnGe3.

For the total energy, the calculation gives -14.05 eV per cell. As for the formation energy: 103.8 kJ/mol of formula units. The value obtained for the spin magnetization is 0.00 μB per formula unit.

The structure belongs to space group Pm-3m (No. 221); the cell edges are 4.222, 4.222 and 4.222 Å and the angles 90.00°, 90.00° and 90.00°. The inequivalent atoms are Zn at (0.000, 0.000, 0.000) and Ge at (0.000, 0.500, 0.500).